# PBE-GGA Na5ZnSiGe3P5O24, relaxed
# theoretical density: 3.41 g cm⁻³
# energy of formation from the pure elements: -2.463 eV/atom
# M_tot: 0.00 μB per cell
data_Na5ZnSiGe3P5O24
_chemical_formula_sum 'Na15 Zn3 Si3 Ge9 P15 O72'
_space_group_name_H-M_alt 'P 1'
_space_group_IT_number 1
_cell_length_a 8.649
_cell_length_b 8.674
_cell_length_c 21.688
_cell_angle_alpha 90.00
_cell_angle_beta 90.11
_cell_angle_gamma 119.89
loop_
_space_group_symop_operation_xyz
'x,y,z'
loop_
_atom_site_label
_atom_site_type_symbol
_atom_site_fract_x
_atom_site_fract_y
_atom_site_fract_z
Na1 Na 0.000 0.000 0.000
Na2 Na 0.002 0.739 0.503
Na3 Na 0.010 0.370 0.250
Na4 Na 0.013 0.381 0.755
Na5 Na 0.320 0.708 0.338
Na6 Na 0.343 0.037 0.915
Na7 Na 0.346 0.045 0.417
Na8 Na 0.379 0.730 0.000
Na9 Na 0.386 0.377 0.503
Na10 Na 0.639 0.992 0.500
Na11 Na 0.650 0.379 0.000
Na12 Na 0.669 0.694 0.591
Na13 Na 0.675 0.694 0.086
Na14 Na 0.717 0.044 0.169
Na15 Na 0.979 0.037 0.675
Zn1 Zn 0.015 0.377 0.108
Zn2 Zn 0.675 0.701 0.930
Zn3 Zn 0.675 0.706 0.432
Si1 Si 0.053 0.745 0.672
Si2 Si 0.348 0.331 0.672
Si3 Si 0.678 0.000 0.337
Ge1 Ge 0.002 0.363 0.398
Ge2 Ge 0.011 0.372 0.898
Ge3 Ge 0.013 0.377 0.613
Ge4 Ge 0.338 0.034 0.772
Ge5 Ge 0.341 0.040 0.575
Ge6 Ge 0.342 0.039 0.070
Ge7 Ge 0.345 0.040 0.273
Ge8 Ge 0.673 0.693 0.736
Ge9 Ge 0.679 0.704 0.237
P1 P 0.012 0.660 0.005
P2 P 0.014 0.089 0.506
P3 P 0.054 0.030 0.173
P4 P 0.292 0.657 0.506
P5 P 0.297 0.368 0.005
P6 P 0.343 0.748 0.173
P7 P 0.382 0.706 0.837
P8 P 0.384 0.407 0.338
P9 P 0.626 0.331 0.173
P10 P 0.628 0.036 0.671
P11 P 0.674 0.404 0.837
P12 P 0.718 0.082 0.006
P13 P 0.723 0.365 0.506
P14 P 0.968 0.705 0.338
P15 P 0.972 0.999 0.837
O1 O 0.027 0.189 0.170
O2 O 0.030 0.549 0.664
O3 O 0.053 0.211 0.448
O4 O 0.055 0.580 0.947
O5 O 0.133 0.872 0.609
O6 O 0.135 0.999 0.112
O7 O 0.158 0.868 0.328
O8 O 0.159 0.019 0.829
O9 O 0.162 0.337 0.663
O10 O 0.173 0.325 0.947
O11 O 0.174 0.058 0.229
O12 O 0.176 0.578 0.445
O13 O 0.181 0.567 0.169
O14 O 0.184 0.838 0.729
O15 O 0.187 0.073 0.509
O16 O 0.188 0.851 0.011
O17 O 0.193 0.534 0.842
O18 O 0.199 0.400 0.343
O19 O 0.202 0.533 0.561
O20 O 0.221 0.404 0.062
O21 O 0.298 0.191 0.728
O22 O 0.309 0.845 0.511
O23 O 0.311 0.191 0.010
O24 O 0.320 0.840 0.230
O25 O 0.355 0.219 0.327
O26 O 0.365 0.875 0.828
O27 O 0.386 0.249 0.607
O28 O 0.386 0.872 0.114
O29 O 0.471 0.537 0.282
O30 O 0.474 0.671 0.781
O31 O 0.477 0.677 0.503
O32 O 0.482 0.738 0.897
O33 O 0.486 0.472 0.398
O34 O 0.486 0.525 0.998
O35 O 0.497 0.018 0.327
O36 O 0.508 0.218 0.827
O37 O 0.513 0.249 0.112
O38 O 0.515 0.000 0.610
O39 O 0.520 0.527 0.679
O40 O 0.521 0.739 0.177
O41 O 0.527 0.067 0.011
O42 O 0.535 0.192 0.510
O43 O 0.535 0.204 0.227
O44 O 0.545 0.075 0.726
O45 O 0.623 0.882 0.399
O46 O 0.638 0.515 0.180
O47 O 0.639 0.472 0.897
O48 O 0.654 0.873 0.677
O49 O 0.689 0.894 0.998
O50 O 0.700 0.528 0.502
O51 O 0.711 0.905 0.276
O52 O 0.712 0.531 0.781
O53 O 0.803 0.207 0.949
O54 O 0.805 0.328 0.447
O55 O 0.807 0.344 0.169
O56 O 0.818 0.201 0.663
O57 O 0.825 0.155 0.065
O58 O 0.843 0.665 0.281
O59 O 0.844 0.399 0.562
O60 O 0.847 0.389 0.843
O61 O 0.850 0.912 0.779
O62 O 0.852 0.903 0.502
O63 O 0.854 0.692 0.997
O64 O 0.857 0.196 0.343
O65 O 0.859 0.736 0.680
O66 O 0.866 0.856 0.177
O67 O 0.900 0.896 0.897
O68 O 0.902 0.738 0.398
O69 O 0.973 0.547 0.062
O70 O 0.979 0.172 0.564
O71 O 0.988 0.188 0.842
O72 O 0.997 0.539 0.342